# 1
# MgMn2Ag2O6 GGA+U optimized geometry
data_MgMn2Ag2O6
_space_group_name_H-M_alt 'R -3'
_space_group_IT_number 148
_space_group_name_Hall '-R 3'
_cell_length_a 5.1219
_cell_length_b 5.1219
_cell_length_c 17.5506
_cell_angle_alpha 90.00
_cell_angle_beta 90.00
_cell_angle_gamma 120.00
loop_
_atom_site_label
_atom_site_type_symbol
_atom_site_fract_x
_atom_site_fract_y
_atom_site_fract_z
_atom_site_occupancy
Mg1 Mg 0.0000 0.0000 0.0000 1
Mn1 Mn 0.0000 0.0000 0.3371 1
Ag1 Ag 0.0000 0.0000 0.1653 1
O1 O 0.0066 0.3550 0.9412 1
# - Energy relative to the elements: -1.616 eV per atom
# - V: 398.7 Å³/cell
# - Relative energy among the computed polymorphs: 0 kJ/mol of formula units
# - Calculated density: 5.57 g cm⁻³
# - E: -196.79 eV per cell

# 2
# MgMn2Ag2O4 GGA+U optimized geometry
data_MgMn2Ag2O4
_space_group_name_H-M_alt 'P 3 m 1'
_space_group_IT_number 156
_cell_length_a 3.1464
_cell_length_b 3.1464
_cell_length_c 14.3304
_cell_angle_alpha 90.00
_cell_angle_beta 90.00
_cell_angle_gamma 120.00
loop_
_space_group_symop_operation_xyz
'x,y,z'
'-y,x-y,z'
'-x+y,-x,z'
'-y,-x,z'
'-x+y,y,z'
'x,x-y,z'
loop_
_atom_site_label
_atom_site_type_symbol
_atom_site_fract_x
_atom_site_fract_y
_atom_site_fract_z
_atom_site_occupancy
Mg1 Mg 0.0000 0.0000 0.0000 1
Mn1 Mn 0.3333 0.6667 0.1799 1
Mn2 Mn 0.3333 0.6667 0.6086 1
Ag1 Ag 0.0000 0.0000 0.3910 1
Ag2 Ag 0.6667 0.3333 0.8341 1
O1 O 0.0000 0.0000 0.2427 1
O2 O 0.0000 0.0000 0.5384 1
O3 O 0.6667 0.3333 0.0634 1
O4 O 0.6667 0.3333 0.6751 1
# - Energy relative to the elements: -1.503 eV per atom
# - V: 122.9 Å³/cell
# - Relative energy among the computed polymorphs: 0 kJ/mol of formula units
# - Calculated density: 5.59 g cm⁻³
# - E: -52.82 eV per cell

# 3
# MgMn4Ag4O16 GGA+U optimized geometry
data_MgMn4Ag4O16
_space_group_name_H-M_alt 'P 1'
_space_group_IT_number 1
_cell_length_a 5.9105
_cell_length_b 7.6110
_cell_length_c 8.6608
_cell_angle_alpha 92.79
_cell_angle_beta 93.30
_cell_angle_gamma 98.01
loop_
_space_group_symop_operation_xyz
'x,y,z'
loop_
_atom_site_label
_atom_site_type_symbol
_atom_site_fract_x
_atom_site_fract_y
_atom_site_fract_z
_atom_site_occupancy
Mg1 Mg 0.0000 0.0000 0.0000 1
Mn1 Mn 0.2437 0.4451 0.1021 1
Mn2 Mn 0.3045 0.2296 0.5950 1
Mn3 Mn 0.7280 0.9418 0.2351 1
Mn4 Mn 0.8287 0.7335 0.6932 1
Ag1 Ag 0.2479 0.7602 0.4076 1
Ag2 Ag 0.4012 0.8523 0.8582 1
Ag3 Ag 0.7644 0.4242 0.3661 1
Ag4 Ag 0.7993 0.2848 0.8287 1
O1 O 0.0282 0.8954 0.7905 1
O2 O 0.0585 0.2869 0.6354 1
O3 O 0.0812 0.2616 0.0096 1
O4 O 0.1121 0.4966 0.2613 1
O5 O 0.2520 0.6103 0.9885 1
O6 O 0.2662 0.0565 0.4755 1
O7 O 0.4430 0.1803 0.7550 1
O8 O 0.4568 0.3941 0.5178 1
O9 O 0.4947 0.3928 0.1500 1
O10 O 0.5648 0.7632 0.2870 1
O11 O 0.5959 0.8185 0.6407 1
O12 O 0.6626 0.9860 0.0437 1
O13 O 0.7387 0.1219 0.3463 1
O14 O 0.7762 0.5733 0.8104 1
O15 O 0.9456 0.6592 0.5326 1
O16 O 0.9992 0.8967 0.2068 1
# - Energy relative to the elements: -1.037 eV per atom
# - V: 384.5 Å³/cell
# - Relative energy among the computed polymorphs: 62 kJ/mol of formula units
# - Calculated density: 4.02 g cm⁻³
# - E: -136.99 eV per cell

# 4
# MgMn4Ag4O16 GGA+U optimized geometry
data_MgMn4Ag4O16
_space_group_name_H-M_alt 'P 1'
_space_group_IT_number 1
_cell_length_a 5.6101
_cell_length_b 7.5075
_cell_length_c 8.9773
_cell_angle_alpha 82.67
_cell_angle_beta 85.84
_cell_angle_gamma 83.63
loop_
_space_group_symop_operation_xyz
'x,y,z'
loop_
_atom_site_label
_atom_site_type_symbol
_atom_site_fract_x
_atom_site_fract_y
_atom_site_fract_z
_atom_site_occupancy
Mg1 Mg 0.0000 0.0000 0.0000 1
Mn1 Mn 0.0043 0.5394 0.4203 1
Mn2 Mn 0.4517 0.8192 0.0498 1
Mn3 Mn 0.4950 0.0309 0.5589 1
Mn4 Mn 0.9765 0.3579 0.9184 1
Ag1 Ag 0.0007 0.7936 0.7309 1
Ag2 Ag 0.0137 0.0623 0.3298 1
Ag3 Ag 0.4669 0.3221 0.1697 1
Ag4 Ag 0.4869 0.4928 0.6992 1
O1 O 0.0162 0.1863 0.8142 1
O2 O 0.1387 0.3726 0.3318 1
O3 O 0.1548 0.5647 0.5666 1
O4 O 0.2152 0.9879 0.5449 1
O5 O 0.2454 0.4138 0.9466 1
O6 O 0.2479 0.8080 0.9184 1
O7 O 0.2873 0.9923 0.1346 1
O8 O 0.4785 0.6338 0.1647 1
O9 O 0.5022 0.1800 0.6721 1
O10 O 0.6146 0.1038 0.3914 1
O11 O 0.6472 0.8419 0.6236 1
O12 O 0.7089 0.8882 0.9712 1
O13 O 0.7379 0.4875 0.4786 1
O14 O 0.7866 0.5258 0.8427 1
O15 O 0.8520 0.2431 0.0814 1
O16 O 0.9824 0.7281 0.3100 1
# - Energy relative to the elements: -1.045 eV per atom
# - V: 372.0 Å³/cell
# - Relative energy among the computed polymorphs: 42 kJ/mol of formula units
# - Calculated density: 4.16 g cm⁻³
# - E: -137.20 eV per cell

# 5
# MgAg4Mo2O8 GGA+U optimized geometry
data_MgAg4Mo2O8
_space_group_name_H-M_alt 'F -4 3 m'
_space_group_IT_number 216
_space_group_name_Hall 'F -4 2 3'
_cell_length_a 9.9287
_cell_length_b 9.9287
_cell_length_c 9.9287
_cell_angle_alpha 90.00
_cell_angle_beta 90.00
_cell_angle_gamma 90.00
loop_
_atom_site_label
_atom_site_type_symbol
_atom_site_fract_x
_atom_site_fract_y
_atom_site_fract_z
_atom_site_occupancy
Mg1 Mg 0.0000 0.0000 0.0000 1
Ag1 Ag 0.1493 0.1493 0.8507 1
Mo1 Mo 0.0000 0.0000 0.5000 1
Mo2 Mo 0.2500 0.2500 0.2500 1
O1 O 0.1051 0.1051 0.6051 1
O2 O 0.1438 0.1438 0.1438 1
# - Energy relative to the elements: -1.124 eV per atom
# - V: 978.8 Å³/cell
# - Calculated density: 5.26 g cm⁻³
# - E: -316.64 eV per cell

# 6
# MgNi2Ag2O4 GGA+U optimized geometry
data_MgNi2Ag2O4
_space_group_name_H-M_alt 'P 3 m 1'
_space_group_IT_number 156
_cell_length_a 3.0336
_cell_length_b 3.0336
_cell_length_c 14.2246
_cell_angle_alpha 90.00
_cell_angle_beta 90.00
_cell_angle_gamma 120.00
loop_
_space_group_symop_operation_xyz
'x,y,z'
'-y,x-y,z'
'-x+y,-x,z'
'-y,-x,z'
'-x+y,y,z'
'x,x-y,z'
loop_
_atom_site_label
_atom_site_type_symbol
_atom_site_fract_x
_atom_site_fract_y
_atom_site_fract_z
_atom_site_occupancy
Mg1 Mg 0.0000 0.0000 0.0000 1
Ni1 Ni 0.0000 0.0000 0.3938 1
Ni2 Ni 0.0000 0.0000 0.8175 1
Ag1 Ag 0.3333 0.6667 0.6098 1
Ag2 Ag 0.6667 0.3333 0.1709 1
O1 O 0.3333 0.6667 0.4643 1
O2 O 0.3333 0.6667 0.7568 1
O3 O 0.6667 0.3333 0.3255 1
O4 O 0.6667 0.3333 0.9340 1
# - Energy relative to the elements: -0.979 eV per atom
# - V: 113.4 Å³/cell
# - Relative energy among the computed polymorphs: 23 kJ/mol of formula units
# - Calculated density: 6.17 g cm⁻³
# - E: -39.60 eV per cell

# 7
# MgNi2Ag2O4 GGA+U optimized geometry
data_MgNi2Ag2O4
_space_group_name_H-M_alt 'P 3 m 1'
_space_group_IT_number 156
_cell_length_a 3.0508
_cell_length_b 3.0508
_cell_length_c 14.0585
_cell_angle_alpha 90.00
_cell_angle_beta 90.00
_cell_angle_gamma 120.00
loop_
_space_group_symop_operation_xyz
'x,y,z'
'-y,x-y,z'
'-x+y,-x,z'
'-y,-x,z'
'-x+y,y,z'
'x,x-y,z'
loop_
_atom_site_label
_atom_site_type_symbol
_atom_site_fract_x
_atom_site_fract_y
_atom_site_fract_z
_atom_site_occupancy
Mg1 Mg 0.0000 0.0000 0.0000 1
Ni1 Ni 0.6667 0.3333 0.3982 1
Ni2 Ni 0.6667 0.3333 0.8261 1
Ag1 Ag 0.0000 0.0000 0.6161 1
Ag2 Ag 0.3333 0.6667 0.1731 1
O1 O 0.0000 0.0000 0.4689 1
O2 O 0.0000 0.0000 0.7647 1
O3 O 0.3333 0.6667 0.3297 1
O4 O 0.3333 0.6667 0.9363 1
# - Energy relative to the elements: -1.006 eV per atom
# - V: 113.3 Å³/cell
# - Relative energy among the computed polymorphs: 0 kJ/mol of formula units
# - Calculated density: 6.18 g cm⁻³
# - E: -39.84 eV per cell

# 8
# MgVAgO4 GGA+U optimized geometry
data_MgVAgO4
_space_group_name_H-M_alt 'P n m a'
_space_group_IT_number 62
_cell_length_a 9.5797
_cell_length_b 6.8165
_cell_length_c 5.3978
_cell_angle_alpha 90.00
_cell_angle_beta 90.00
_cell_angle_gamma 90.00
loop_
_space_group_symop_operation_xyz
'x,y,z'
'-x,-y,-z'
'-x+1/2,-y,z+1/2'
'x+1/2,y,-z+1/2'
'x+1/2,-y+1/2,-z+1/2'
'-x+1/2,y+1/2,z+1/2'
'-x,y+1/2,-z'
'x,-y+1/2,z'
loop_
_atom_site_label
_atom_site_type_symbol
_atom_site_fract_x
_atom_site_fract_y
_atom_site_fract_z
_atom_site_occupancy
Mg1 Mg 0.0000 0.0000 0.0000 1
V1 V 0.1795 0.2500 0.4753 1
Ag1 Ag 0.1499 0.7500 0.5015 1
O1 O 0.1152 0.0507 0.3138 1
O2 O 0.1161 0.2500 0.7843 1
O3 O 0.1326 0.7500 0.9402 1
# - Energy relative to the elements: -2.164 eV per atom
# - V: 352.5 Å³/cell
# - Calculated density: 4.66 g cm⁻³
# - E: -176.03 eV per cell

# 9
# MgV2Ag6O8 GGA+U optimized geometry
data_MgV2Ag6O8
_space_group_name_H-M_alt 'P -1'
_space_group_IT_number 2
_cell_length_a 5.5867
_cell_length_b 5.7690
_cell_length_c 9.7943
_cell_angle_alpha 86.26
_cell_angle_beta 83.20
_cell_angle_gamma 62.32
loop_
_space_group_symop_operation_xyz
'x,y,z'
'-x,-y,-z'
loop_
_atom_site_label
_atom_site_type_symbol
_atom_site_fract_x
_atom_site_fract_y
_atom_site_fract_z
_atom_site_occupancy
Mg1 Mg 0.0000 0.0000 0.0000 1
V1 V 0.2390 0.9691 0.7263 1
Ag1 Ag 0.0000 0.5000 0.5000 1
Ag2 Ag 0.0125 0.5322 0.8657 1
Ag3 Ag 0.3102 0.7993 0.3942 1
Ag4 Ag 0.5000 0.5000 0.0000 1
O1 O 0.0896 0.9983 0.2127 1
O2 O 0.2172 0.2779 0.6690 1
O3 O 0.3719 0.8836 0.8865 1
O4 O 0.4223 0.7238 0.6084 1
# - Energy relative to the elements: -1.284 eV per atom
# - V: 277.6 Å³/cell
# - Relative energy among the computed polymorphs: 0 kJ/mol of formula units
# - Calculated density: 5.39 g cm⁻³
# - E: -89.28 eV per cell

# 10
# MgV2Ag6O8 GGA+U optimized geometry
data_MgV2Ag6O8
_space_group_name_H-M_alt 'C 1 2 1'
_space_group_IT_number 5
_cell_length_a 9.7907
_cell_length_b 5.5224
_cell_length_c 10.5769
_cell_angle_alpha 90.00
_cell_angle_beta 114.15
_cell_angle_gamma 90.00
loop_
_space_group_symop_operation_xyz
'x,y,z'
'-x,y,-z'
'x+1/2,y+1/2,z'
'-x+1/2,y+1/2,-z'
loop_
_atom_site_label
_atom_site_type_symbol
_atom_site_fract_x
_atom_site_fract_y
_atom_site_fract_z
_atom_site_occupancy
Mg1 Mg 0.0000 0.0000 0.0000 1
V1 V 0.0000 0.4993 0.0000 1
V2 V 0.0000 0.7004 0.5000 1
Ag1 Ag 0.0187 0.1747 0.2928 1
Ag2 Ag 0.1879 0.7555 0.8277 1
Ag3 Ag 0.2341 0.6037 0.3399 1
O1 O 0.0612 0.7304 0.1376 1
O2 O 0.0896 0.5103 0.6422 1
O3 O 0.1156 0.2711 0.9605 1
O4 O 0.1311 0.8888 0.4688 1
# - Energy relative to the elements: -1.240 eV per atom
# - V: 521.8 Å³/cell
# - Relative energy among the computed polymorphs: 72 kJ/mol of formula units
# - Calculated density: 5.74 g cm⁻³
# - E: -177.06 eV per cell

# 11
# ZrMn2Ag4Mo6O24 GGA+U optimized geometry
data_ZrMn2Ag4Mo6O24
_space_group_name_H-M_alt 'P 21 21 21'
_space_group_IT_number 19
_cell_length_a 5.4885
_cell_length_b 19.3179
_cell_length_c 21.8188
_cell_angle_alpha 90.00
_cell_angle_beta 90.00
_cell_angle_gamma 90.00
loop_
_space_group_symop_operation_xyz
'x,y,z'
'-x+1/2,-y,z+1/2'
'x+1/2,-y+1/2,-z'
'-x,y+1/2,-z+1/2'
loop_
_atom_site_label
_atom_site_type_symbol
_atom_site_fract_x
_atom_site_fract_y
_atom_site_fract_z
_atom_site_occupancy
Zr1 Zr 0.1494 0.0003 0.1321 1
Mn1 Mn 0.0164 0.4625 0.1171 1
Mn2 Mn 0.0217 0.2669 0.7200 1
Ag1 Ag 0.0015 0.4211 0.6161 1
Ag2 Ag 0.0069 0.2791 0.0411 1
Ag3 Ag 0.0101 0.2765 0.5429 1
Ag4 Ag 0.0125 0.2873 0.1895 1
Mo1 Mo 0.0024 0.0925 0.4998 1
Mo2 Mo 0.0036 0.3247 0.8747 1
Mo3 Mo 0.0084 0.5864 0.5155 1
Mo4 Mo 0.0116 0.6034 0.2294 1
Mo5 Mo 0.0339 0.3131 0.3648 1
Mo6 Mo 0.0423 0.0865 0.7764 1
O1 O 0.0490 0.5429 0.4404 1
O2 O 0.0573 0.4086 0.3648 1
O3 O 0.0604 0.5530 0.2993 1
O4 O 0.1080 0.6669 0.7402 1
O5 O 0.1176 0.9128 0.6324 1
O6 O 0.1220 0.0459 0.5666 1
O7 O 0.1321 0.0477 0.3256 1
O8 O 0.1388 0.0432 0.7065 1
O9 O 0.1391 0.7821 0.0725 1
O10 O 0.1463 0.7920 0.2015 1
O11 O 0.1620 0.1635 0.9939 1
O12 O 0.1684 0.5337 0.6817 1
O13 O 0.1692 0.5375 0.0521 1
O14 O 0.1793 0.2984 0.8080 1
O15 O 0.1823 0.7344 0.8583 1
O16 O 0.1848 0.0313 0.9395 1
O17 O 0.1951 0.3173 0.9400 1
O18 O 0.1952 0.6598 0.9750 1
O19 O 0.1957 0.8943 0.3242 1
O20 O 0.1996 0.1711 0.2544 1
O21 O 0.2168 0.3620 0.6928 1
O22 O 0.2208 0.3935 0.0598 1
O23 O 0.2384 0.7636 0.6173 1
O24 O 0.2409 0.1312 0.4563 1
# - Energy relative to the elements: -1.897 eV per atom
# - V: 2313.3 Å³/cell
# - Calculated density: 4.57 g cm⁻³
# - E: -1012.68 eV per cell

# 12
# MnAgO2 GGA+U optimized geometry
data_MnAgO2
_space_group_name_H-M_alt 'P -1'
_space_group_IT_number 2
_cell_length_a 3.2130
_cell_length_b 5.2567
_cell_length_c 12.6613
_cell_angle_alpha 96.07
_cell_angle_beta 92.90
_cell_angle_gamma 95.03
loop_
_space_group_symop_operation_xyz
'x,y,z'
'-x,-y,-z'
loop_
_atom_site_label
_atom_site_type_symbol
_atom_site_fract_x
_atom_site_fract_y
_atom_site_fract_z
_atom_site_occupancy
Mn1 Mn 0.1262 0.3740 0.2499 1
Mn2 Mn 0.3744 0.1259 0.7499 1
Ag1 Ag 0.0000 0.0000 0.0000 1
Ag2 Ag 0.2483 0.7503 0.5000 1
Ag3 Ag 0.5000 0.5000 0.0000 1
O1 O 0.0656 0.0330 0.1679 1
O2 O 0.1853 0.7153 0.3320 1
O3 O 0.3138 0.7847 0.6680 1
O4 O 0.4344 0.4668 0.8320 1
# - Energy relative to the elements: -1.434 eV per atom
# - V: 211.4 Å³/cell
# - Calculated density: 6.12 g cm⁻³
# - E: -98.34 eV per cell

The lowest V belongs to which entry? number 7

The lowest V belongs to which entry? number 7